Entry 1:
! NaPO3 | Materials Project | r2SCAN | optimized geometry; values from VASP
! DFT formation energy = -234.0 kJ/mol of atoms
! uncorrected energy = -8.52 eV/atom
! theoretical density = 2.65 g cm⁻³
&SYSTEM
  ibrav = 0, nat = 40, ntyp = 3
/
ATOMIC_SPECIES
Na 22.99 Na.upf
P 30.97 P.upf
O 16.00 O.upf
CELL_PARAMETERS angstrom
-4.1070 -4.5592 0.2155
0.8527 -0.4444 6.8479
-8.0165 7.6023 8.0607
ATOMIC_POSITIONS crystal
Na 0.6289 0.5018 0.6293
Na 0.1289 0.4982 0.8707
Na 0.3711 0.4982 0.3707
Na 0.8711 0.5018 0.1293
Na 0.1204 0.7547 0.5072
Na 0.6204 0.2453 0.9928
Na 0.8796 0.2453 0.4928
Na 0.3796 0.7547 0.0072
P 0.1355 0.2783 0.7151
P 0.6355 0.7217 0.7849
P 0.8645 0.7217 0.2849
P 0.3645 0.2783 0.2151
P 0.3739 0.0727 0.6089
P 0.8739 0.9273 0.8911
P 0.6261 0.9273 0.3911
P 0.1261 0.0727 0.1089
O 0.9740 0.2625 0.0551
O 0.4740 0.7375 0.4449
O 0.0260 0.7375 0.9449
O 0.5260 0.2625 0.5551
O 0.2944 0.0473 0.0383
O 0.7944 0.9527 0.4617
O 0.7056 0.9527 0.9617
O 0.2056 0.0473 0.5383
O 0.9930 0.8478 0.1699
O 0.4930 0.1522 0.3301
O 0.0070 0.1522 0.8301
O 0.5070 0.8478 0.6699
O 0.5185 0.3752 0.1197
O 0.0185 0.6248 0.3803
O 0.4815 0.6248 0.8803
O 0.9815 0.3752 0.6197
O 0.2926 0.4281 0.7277
O 0.7926 0.5719 0.7723
O 0.7074 0.5719 0.2723
O 0.2074 0.4281 0.2277
O 0.2622 0.0743 0.7152
O 0.7622 0.9257 0.7848
O 0.7378 0.9257 0.2848
O 0.2378 0.0743 0.2152

Entry 2:
! NaPO3 | Materials Project | r2SCAN | optimized geometry; values from VASP
! DFT formation energy = -234.4 kJ/mol of atoms
! uncorrected energy = -8.53 eV/atom
! theoretical density = 2.58 g cm⁻³
&SYSTEM
  ibrav = 0, nat = 60, ntyp = 3
/
ATOMIC_SPECIES
Na 22.99 Na.upf
P 30.97 P.upf
O 16.00 O.upf
CELL_PARAMETERS angstrom
7.6200 0.0000 0.0000
0.0000 7.8860 0.0000
0.0000 0.0000 13.1236
ATOMIC_POSITIONS crystal
Na 0.8175 0.0029 0.4273
Na 0.0373 0.7500 0.2233
Na 0.4627 0.2500 0.7233
Na 0.3175 0.4971 0.0727
Na 0.1825 0.5029 0.5727
Na 0.6825 0.5029 0.9273
Na 0.9627 0.2500 0.7767
Na 0.3175 0.0029 0.0727
Na 0.1825 0.9971 0.5727
Na 0.6825 0.9971 0.9273
Na 0.5373 0.7500 0.2767
Na 0.8175 0.4971 0.4273
P 0.7507 0.9331 0.6723
P 0.0188 0.7500 0.9621
P 0.5188 0.7500 0.5379
P 0.2507 0.5669 0.8277
P 0.4812 0.2500 0.4621
P 0.2493 0.4331 0.3277
P 0.2493 0.0669 0.3277
P 0.7493 0.0669 0.1723
P 0.7507 0.5669 0.6723
P 0.7493 0.4331 0.1723
P 0.9812 0.2500 0.0379
P 0.2507 0.9331 0.8277
O 0.1369 0.7500 0.0526
O 0.3631 0.2500 0.5526
O 0.5682 0.5920 0.6108
O 0.5682 0.9080 0.6108
O 0.7835 0.9405 0.2536
O 0.0682 0.9080 0.8892
O 0.7835 0.5595 0.2536
O 0.6369 0.7500 0.4474
O 0.4318 0.0920 0.3892
O 0.7165 0.0595 0.7536
O 0.9318 0.4080 0.1108
O 0.8265 0.7500 0.9749
O 0.6053 0.0382 0.0989
O 0.7305 0.2500 0.2260
O 0.4318 0.4080 0.3892
O 0.1735 0.2500 0.0251
O 0.2165 0.4405 0.7464
O 0.6735 0.2500 0.4749
O 0.2835 0.5595 0.2464
O 0.8631 0.2500 0.9474
O 0.7165 0.4405 0.7536
O 0.1053 0.0382 0.4011
O 0.7695 0.7500 0.7260
O 0.8947 0.9618 0.5989
O 0.2165 0.0595 0.7464
O 0.2835 0.9405 0.2464
O 0.9318 0.0920 0.1108
O 0.2695 0.7500 0.7740
O 0.6053 0.4618 0.0989
O 0.3265 0.7500 0.5251
O 0.8947 0.5382 0.5989
O 0.1053 0.4618 0.4011
O 0.0682 0.5920 0.8892
O 0.3947 0.9618 0.9011
O 0.2305 0.2500 0.2740
O 0.3947 0.5382 0.9011

Entry 3:
! NaPaO3 | Materials Project | r2SCAN | optimized geometry; values from VASP
! DFT formation energy = -315.0 kJ/mol of atoms
! uncorrected energy = -22.93 eV/atom
! theoretical density = 6.19 g cm⁻³
&SYSTEM
  ibrav = 0, nat = 5, ntyp = 3
/
ATOMIC_SPECIES
Na 22.99 Na.upf
Pa 231.04 Pa.upf
O 16.00 O.upf
CELL_PARAMETERS angstrom
4.3275 0.0000 0.0000
0.0000 4.3275 0.0000
0.0000 0.0000 4.3275
ATOMIC_POSITIONS crystal
Na 0.0000 0.0000 0.0000
Pa 0.5000 0.5000 0.5000
O 0.5000 0.5000 0.0000
O 0.5000 0.0000 0.5000
O 0.0000 0.5000 0.5000

Entry 4:
! Na2PbO2 | Materials Project | r2SCAN | optimized geometry; values from VASP
! DFT formation energy = -141.7 kJ/mol of atoms
! uncorrected energy = -16.54 eV/atom
! theoretical density = 5.53 g cm⁻³
&SYSTEM
  ibrav = 0, nat = 40, ntyp = 3
/
ATOMIC_SPECIES
Na 22.99 Na.upf
Pb 207.20 Pb.upf
O 16.00 O.upf
CELL_PARAMETERS angstrom
-5.7144 -1.6336 -0.2840
0.4926 -0.5327 -6.8478
4.5029 -16.0243 1.5704
ATOMIC_POSITIONS crystal
Na 0.9164 0.6272 0.3657
Na 0.4164 0.8728 0.1343
Na 0.5836 0.6272 0.6343
Na 0.0836 0.8728 0.8657
Na 0.0836 0.3728 0.6343
Na 0.5836 0.1272 0.8657
Na 0.4164 0.3728 0.3657
Na 0.9164 0.1272 0.1343
Na 0.2500 0.1230 0.5000
Na 0.7500 0.3770 0.0000
Na 0.7500 0.3679 0.5000
Na 0.2500 0.1321 0.0000
Na 0.2500 0.6321 0.5000
Na 0.7500 0.8679 0.0000
Na 0.7500 0.8770 0.5000
Na 0.2500 0.6230 0.0000
Pb 0.9316 0.1358 0.3370
Pb 0.4316 0.3642 0.1630
Pb 0.5684 0.1358 0.6630
Pb 0.0684 0.3642 0.8370
Pb 0.0684 0.8642 0.6630
Pb 0.5684 0.6358 0.8370
Pb 0.4316 0.8642 0.3370
Pb 0.9316 0.6358 0.1630
O 0.5640 0.1467 0.0857
O 0.0640 0.3533 0.4143
O 0.9360 0.1467 0.9143
O 0.4360 0.3533 0.5857
O 0.4360 0.8533 0.9143
O 0.9360 0.6467 0.5857
O 0.0640 0.8533 0.0857
O 0.5640 0.6467 0.4143
O 0.8912 0.1026 0.5963
O 0.3912 0.3974 0.9037
O 0.3912 0.8974 0.5963
O 0.8912 0.6026 0.9037
O 0.1088 0.8974 0.4037
O 0.6088 0.6026 0.0963
O 0.6088 0.1026 0.4037
O 0.1088 0.3974 0.0963

Entry 5:
! Na2PdO3 | Materials Project | r2SCAN | optimized geometry; values from VASP
! DFT formation energy = -123.7 kJ/mol of atoms
! uncorrected energy = -9.28 eV/atom
! theoretical density = 5.05 g cm⁻³
&SYSTEM
  ibrav = 0, nat = 96, ntyp = 3
/
ATOMIC_SPECIES
Na 22.99 Na.upf
Pd 106.42 Pd.upf
O 16.00 O.upf
CELL_PARAMETERS angstrom
4.6532 2.6860 0.0062
-4.6532 2.6860 0.0062
0.0000 1.5372 42.1394
ATOMIC_POSITIONS crystal
Na 0.6650 0.9545 0.0622
Na 0.1265 0.7520 0.6878
Na 0.0135 0.9865 0.0000
Na 0.3545 0.6455 0.0000
Na 0.0554 0.6722 0.8752
Na 0.8747 0.4998 0.4374
Na 0.7787 0.7221 0.7504
Na 0.0963 0.4044 0.7504
Na 0.8130 0.4381 0.6252
Na 0.0455 0.3350 0.9378
Na 0.6242 0.2517 0.1871
Na 0.5286 0.4714 0.5000
Na 0.8464 0.1536 0.5000
Na 0.7483 0.3758 0.8129
Na 0.5619 0.1870 0.3748
Na 0.2779 0.2213 0.2496
Na 0.5956 0.9037 0.2496
Na 0.6960 0.3040 0.0000
Na 0.5002 0.1253 0.5626
Na 0.3278 0.9446 0.1248
Na 0.3963 0.3543 0.8754
Na 0.7386 0.0371 0.8755
Na 0.4381 0.0635 0.7503
Na 0.2480 0.8735 0.3122
Na 0.1538 0.0967 0.6252
Na 0.4716 0.7789 0.6252
Na 0.1875 0.8125 0.5000
Na 0.9033 0.8462 0.3748
Na 0.2211 0.5284 0.3748
Na 0.9365 0.5619 0.2497
Na 0.6457 0.6037 0.1246
Na 0.9629 0.2614 0.1245
Pd 0.3763 0.0003 0.9377
Pd 0.4170 0.7095 0.8128
Pd 0.1671 0.4583 0.5626
Pd 0.9997 0.6237 0.0623
Pd 0.9159 0.2073 0.3123
Pd 0.7102 0.6673 0.9377
Pd 0.7927 0.0841 0.6877
Pd 0.4588 0.4179 0.6877
Pd 0.5417 0.8329 0.4374
Pd 0.2078 0.1667 0.4374
Pd 0.2905 0.5830 0.1872
Pd 0.9576 0.9170 0.1872
Pd 0.0830 0.0424 0.8128
Pd 0.8333 0.7922 0.5626
Pd 0.5821 0.5412 0.3123
Pd 0.3327 0.2898 0.0623
O 0.6739 0.9642 0.9639
O 0.4805 0.7426 0.7141
O 0.3114 0.9644 0.0361
O 0.2295 0.4915 0.4638
O 0.4144 0.7049 0.9114
O 0.1195 0.7458 0.7865
O 0.9789 0.2425 0.2135
O 0.1340 0.3964 0.6614
O 0.8698 0.4948 0.5362
O 0.0356 0.6886 0.9639
O 0.7413 0.7304 0.8392
O 0.1027 0.3673 0.8391
O 0.8831 0.1451 0.4111
O 0.6184 0.2437 0.2860
O 0.7563 0.3816 0.7140
O 0.4918 0.4800 0.5889
O 0.8549 0.1169 0.5889
O 0.6743 0.6019 0.0360
O 0.0358 0.3261 0.0361
O 0.6910 0.3424 0.9115
O 0.6327 0.8973 0.1609
O 0.5052 0.1302 0.4638
O 0.2407 0.2289 0.3386
O 0.6036 0.8660 0.3386
O 0.3951 0.3839 0.7865
O 0.7575 0.0211 0.7865
O 0.4954 0.1206 0.6614
O 0.3981 0.3257 0.9640
O 0.2542 0.8805 0.2135
O 0.0205 0.9481 0.0886
O 0.2951 0.5856 0.0887
O 0.1454 0.1336 0.5362
O 0.5085 0.7705 0.5362
O 0.2443 0.8693 0.4111
O 0.3787 0.0048 0.8392
O 0.1173 0.1059 0.7141
O 0.8941 0.8827 0.2859
O 0.2574 0.5195 0.2859
O 0.9952 0.6213 0.1608
O 0.1307 0.7557 0.5889
O 0.8664 0.8546 0.4638
O 0.0519 0.9795 0.9114
O 0.8794 0.5046 0.3386
O 0.6162 0.6049 0.2135
O 0.7711 0.7593 0.6614
O 0.6576 0.3090 0.0885
O 0.5200 0.5082 0.4111
O 0.2696 0.2587 0.1608

Entry 6:
! NaYbPd6O8 | Materials Project | r2SCAN | optimized geometry; values from VASP
! DFT formation energy = -126.0 kJ/mol of atoms
! uncorrected energy = -15.41 eV/atom
! theoretical density = 8.45 g cm⁻³
&SYSTEM
  ibrav = 0, nat = 16, ntyp = 4
/
ATOMIC_SPECIES
Na 22.99 Na.upf
Yb 173.04 Yb.upf
Pd 106.42 Pd.upf
O 16.00 O.upf
CELL_PARAMETERS angstrom
5.7403 0.0000 0.0000
0.0000 5.7403 0.0000
0.0000 0.0000 5.7403
ATOMIC_POSITIONS crystal
Na 0.5000 0.5000 0.5000
Yb 0.0000 0.0000 0.0000
Pd 0.2499 0.0000 0.5000
Pd 0.7501 0.0000 0.5000
Pd 0.5000 0.2499 0.0000
Pd 0.5000 0.7501 0.0000
Pd 0.0000 0.5000 0.2499
Pd 0.0000 0.5000 0.7501
O 0.2381 0.2381 0.2381
O 0.7619 0.7619 0.7619
O 0.7619 0.7619 0.2381
O 0.7619 0.2381 0.7619
O 0.2381 0.2381 0.7619
O 0.2381 0.7619 0.2381
O 0.2381 0.7619 0.7619
O 0.7619 0.2381 0.2381

Entry 7:
! NaPt3O4 | Materials Project | r2SCAN | optimized geometry; values from VASP
! DFT formation energy = -88.0 kJ/mol of atoms
! uncorrected energy = -23.65 eV/atom
! theoretical density = 11.98 g cm⁻³
&SYSTEM
  ibrav = 0, nat = 16, ntyp = 3
/
ATOMIC_SPECIES
Na 22.99 Na.upf
Pt 195.08 Pt.upf
O 16.00 O.upf
CELL_PARAMETERS angstrom
5.7115 0.0000 0.0000
0.0000 5.7115 0.0000
0.0000 0.0000 5.7115
ATOMIC_POSITIONS crystal
Na 0.5000 0.5000 0.5000
Na 0.0000 0.0000 0.0000
Pt 0.7500 0.0000 0.5000
Pt 0.0000 0.5000 0.2500
Pt 0.0000 0.5000 0.7500
Pt 0.2500 0.0000 0.5000
Pt 0.5000 0.7500 0.0000
Pt 0.5000 0.2500 0.0000
O 0.7500 0.2500 0.2500
O 0.2500 0.2500 0.7500
O 0.2500 0.7500 0.2500
O 0.7500 0.7500 0.7500
O 0.2500 0.2500 0.2500
O 0.7500 0.7500 0.2500
O 0.7500 0.2500 0.7500
O 0.2500 0.7500 0.7500

Entry 8:
! NaSr11Pt3O18 | Materials Project | r2SCAN | optimized geometry; values from VASP
! DFT formation energy = -231.0 kJ/mol of atoms
! uncorrected energy = -15.49 eV/atom
! theoretical density = 6.38 g cm⁻³
&SYSTEM
  ibrav = 0, nat = 66, ntyp = 4
/
ATOMIC_SPECIES
Na 22.99 Na.upf
Sr 87.62 Sr.upf
Pt 195.08 Pt.upf
O 16.00 O.upf
CELL_PARAMETERS angstrom
-5.5775 3.9557 6.9080
-3.9240 -5.9784 -6.5831
2.2064 -9.2290 7.0662
ATOMIC_POSITIONS crystal
Na 0.6667 0.3333 0.8335
Na 0.3333 0.6667 0.1665
Sr 0.3673 0.0000 0.5000
Sr 0.6911 0.6664 0.1658
Sr 0.0247 0.3337 0.8342
Sr 0.6326 0.6327 0.5000
Sr 0.9753 0.3089 0.1658
Sr 0.3089 0.9753 0.8342
Sr 0.0000 0.3674 0.5000
Sr 0.3336 0.0247 0.1658
Sr 0.6663 0.6911 0.8342
Sr 0.0372 0.6996 0.3290
Sr 0.3682 0.3682 0.0000
Sr 0.6996 0.0372 0.6710
Sr 0.6624 0.9628 0.3290
Sr 0.0000 0.6318 0.0000
Sr 0.3376 0.3004 0.6710
Sr 0.3004 0.3376 0.3290
Sr 0.6318 0.0000 0.0000
Sr 0.9628 0.6624 0.6710
Sr 0.0000 0.0000 0.5000
Sr 0.6667 0.3333 0.3335
Sr 0.3333 0.6667 0.6665
Sr 0.0000 0.0000 0.0000
Pt 0.6667 0.3333 0.0798
Pt 0.3333 0.6667 0.4131
Pt 0.0000 0.0000 0.7503
Pt 0.6667 0.3333 0.5870
Pt 0.3333 0.6667 0.9202
Pt 0.0000 0.0000 0.2497
O 0.4897 0.6409 0.3139
O 0.8230 0.3079 0.9814
O 0.1596 0.9738 0.6506
O 0.1512 0.5103 0.3139
O 0.4849 0.1770 0.9814
O 0.8142 0.8404 0.6506
O 0.3591 0.8488 0.3139
O 0.6921 0.5151 0.9814
O 0.0262 0.1858 0.6506
O 0.8252 0.5181 0.4848
O 0.1588 0.1845 0.1496
O 0.4911 0.8501 0.8181
O 0.6929 0.1748 0.4848
O 0.0257 0.8412 0.1496
O 0.3590 0.5089 0.8181
O 0.4819 0.3071 0.4848
O 0.8155 0.9743 0.1496
O 0.1499 0.6410 0.8181
O 0.1748 0.6929 0.5152
O 0.5089 0.3590 0.1819
O 0.8412 0.0257 0.8504
O 0.5181 0.8252 0.5152
O 0.8502 0.4911 0.1819
O 0.1845 0.1588 0.8504
O 0.3071 0.4819 0.5152
O 0.6410 0.1498 0.1819
O 0.9743 0.8155 0.8504
O 0.8404 0.8142 0.3494
O 0.1770 0.4849 0.0186
O 0.5103 0.1512 0.6861
O 0.9738 0.1596 0.3494
O 0.3079 0.8230 0.0186
O 0.6409 0.4897 0.6861
O 0.1858 0.0262 0.3494
O 0.5151 0.6921 0.0186
O 0.8488 0.3591 0.6861